The following is a GGA+U calculation of Fe2Te2WC10O10 after structural relaxation, from the Materials Project.

abc: 7.3593 9.8244 14.2376
angles: 81.77 83.13 85.60
Closest atoms and distances in Å follow each position.
Fractional positions:
1 Fe 0.1475 0.1697 0.1354  3 C 1.77-1.80
2 Fe 0.2162 0.5021 0.2301  3 C 1.76-1.80
3 Fe 0.7838 0.4979 0.7699  3 C 1.76-1.80
4 Fe 0.8525 0.8303 0.8646  3 C 1.77-1.80
5 Te 0.0510 0.6165 0.8198  2 Fe 2.58, 1 W 2.80
6 Te 0.4089 0.2817 0.1960  2 Fe 2.57-2.58, 1 W 2.81
7 Te 0.5911 0.7183 0.8040  2 Fe 2.57-2.58, 1 W 2.81
8 Te 0.9490 0.3835 0.1802  2 Fe 2.58, 1 W 2.80
9 W 0.1079 0.2299 0.3346  4 C 2.05-2.06
10 W 0.8921 0.7701 0.6654  4 C 2.05-2.06
11 C 0.0561 0.6289 0.2785  1 O 1.16
12 C 0.0577 0.9130 0.8730  1 O 1.16
13 C 0.0614 0.6553 0.5764  1 O 1.16
14 C 0.1204 0.8827 0.6372  1 O 1.16
15 C 0.1990 0.2373 0.0142  1 O 1.16
16 C 0.2194 0.0315 0.3638  1 O 1.16
17 C 0.2720 0.5915 0.1151  1 O 1.16
18 C 0.2763 0.2516 0.4364  1 O 1.16
19 C 0.2883 0.0119 0.1402  1 O 1.16
20 C 0.4007 0.5466 0.2905  1 O 1.16
21 C 0.5993 0.4534 0.7095  1 O 1.16
22 C 0.7117 0.9881 0.8598  1 O 1.16
23 C 0.7237 0.7484 0.5636  1 O 1.16
24 C 0.7280 0.4085 0.8849  1 O 1.16
25 C 0.7806 0.9685 0.6362  1 O 1.16
26 C 0.8010 0.7627 0.9858  1 O 1.16
27 C 0.8796 0.1173 0.3628  1 O 1.16
28 C 0.9386 0.3447 0.4236  1 O 1.16
29 C 0.9423 0.0870 0.1270  1 O 1.16
30 C 0.9439 0.3711 0.7215  1 O 1.16
31 O 0.0428 0.2854 0.6927  1 C 1.16
32 O 0.1574 0.5958 0.5233  1 C 1.16
33 O 0.1886 0.9665 0.8818  1 C 1.16
34 O 0.2309 0.2815 0.9343  1 C 1.16
35 O 0.2491 0.9473 0.6208  1 C 1.16
36 O 0.2775 0.9192 0.3837  1 C 1.16
37 O 0.3068 0.6500 0.0389  1 C 1.16
38 O 0.3713 0.2634 0.4938  1 C 1.16
39 O 0.3791 0.9099 0.1423  1 C 1.16
40 O 0.4784 0.4239 0.6729  1 C 1.16
41 O 0.5216 0.5761 0.3271  1 C 1.16
42 O 0.6209 0.0901 0.8577  1 C 1.16
43 O 0.6287 0.7366 0.5062  1 C 1.16
44 O 0.6932 0.3500 0.9611  1 C 1.16
45 O 0.7225 0.0808 0.6163  1 C 1.16
46 O 0.7509 0.0527 0.3792  1 C 1.16
47 O 0.7691 0.7185 0.0657  1 C 1.16
48 O 0.8114 0.0335 0.1182  1 C 1.16
49 O 0.8426 0.4042 0.4767  1 C 1.16
50 O 0.9572 0.7146 0.3073  1 C 1.16

**Size of the total moment**: 0.00 μB/cell
**ΔE_f**: -556 meV per atom

---

The following is a GGA+U calculation of MoP3H27C9I2O after structural relaxation, from the Materials Project.

abc: 10.5505 11.2659 20.0515
angles: 90.00 90.00 90.00
Closest atoms and distances in Å follow each position.
Fractional positions:
1 Mo 0.2443 0.0651 0.3869  1 O 1.81
2 Mo 0.2557 0.9349 0.8869  1 O 1.81
3 Mo 0.7443 0.4349 0.6131  1 O 1.81
4 Mo 0.7557 0.5651 0.1131  1 O 1.81
5 P 0.0240 0.8545 0.8880  3 C 1.82-1.83
6 P 0.1680 0.2236 0.2980  3 C 1.83
7 P 0.1966 0.1409 0.9417  3 C 1.83
8 P 0.3034 0.8591 0.4417  3 C 1.83
9 P 0.3320 0.7764 0.7980  3 C 1.83
10 P 0.4760 0.1455 0.3880  3 C 1.82-1.83
11 P 0.5240 0.6455 0.1120  3 C 1.82-1.83
12 P 0.6680 0.2764 0.7020  3 C 1.83
13 P 0.6966 0.3591 0.0583  3 C 1.83
14 P 0.8034 0.6409 0.5583  3 C 1.83
15 P 0.8320 0.7236 0.2020  3 C 1.83
16 P 0.9760 0.3545 0.6120  3 C 1.82-1.83
17 H 0.0122 0.3704 0.4935  1 C 1.10
18 H 0.0127 0.2614 0.2124  1 C 1.10
19 H 0.0310 0.2887 0.9510  1 C 1.10
20 H 0.0351 0.6483 0.5728  1 C 1.09
21 H 0.0465 0.6475 0.8523  1 C 1.10
22 H 0.0469 0.3453 0.3742  1 C 1.10
23 H 0.0482 0.2347 0.8672  1 C 1.10
24 H 0.0498 0.6655 0.2240  1 C 1.10
25 H 0.0524 0.3449 0.7258  1 C 1.10
26 H 0.0580 0.1070 0.2155  1 C 1.09
27 H 0.0739 0.6675 0.9401  1 C 1.10
28 H 0.0766 0.4216 0.2973  1 C 1.10
29 H 0.0820 0.4942 0.5357  1 C 1.10
30 H 0.0842 0.1686 0.5924  1 C 1.10
31 H 0.0878 0.4836 0.6879  1 C 1.10
32 H 0.1005 0.7555 0.4362  1 C 1.10
33 H 0.1228 0.0712 0.0498  1 C 1.10
34 H 0.1336 0.6885 0.7579  1 C 1.10
35 H 0.1572 0.3518 0.5385  1 C 1.10
36 H 0.1679 0.2250 0.0528  1 C 1.10
37 H 0.1810 0.3542 0.6680  1 C 1.10
38 H 0.1884 0.8077 0.7064  1 C 1.10
39 H 0.2001 0.4073 0.3587  1 C 1.10
40 H 0.2063 0.7101 0.3718  1 C 1.10
41 H 0.2140 0.8903 0.5517  1 C 1.10
42 H 0.2314 0.6577 0.4553  1 C 1.10
43 H 0.2364 0.3356 0.2018  1 C 1.10
44 H 0.2636 0.6644 0.7018  1 C 1.10
45 H 0.2686 0.3423 0.9553  1 C 1.10
46 H 0.2860 0.1097 0.0517  1 C 1.10
47 H 0.2937 0.2899 0.8718  1 C 1.10
48 H 0.2999 0.5927 0.8587  1 C 1.10
49 H 0.3116 0.1923 0.2064  1 C 1.10
50 H 0.3190 0.6458 0.1680  1 C 1.10
51 H 0.3321 0.7750 0.5528  1 C 1.10
52 H 0.3428 0.6482 0.0385  1 C 1.10
53 H 0.3664 0.3115 0.2579  1 C 1.10
54 H 0.3772 0.9288 0.5498  1 C 1.10
55 H 0.3995 0.2445 0.9362  1 C 1.10
56 H 0.4122 0.5164 0.1879  1 C 1.10
57 H 0.4158 0.8314 0.0924  1 C 1.10
58 H 0.4180 0.5058 0.0357  1 C 1.10
59 H 0.4234 0.5784 0.7973  1 C 1.10
60 H 0.4261 0.3325 0.4401  1 C 1.10
61 H 0.4420 0.8930 0.7155  1 C 1.09
62 H 0.4476 0.6551 0.2258  1 C 1.10
63 H 0.4502 0.3345 0.7240  1 C 1.10
64 H 0.4518 0.7653 0.3672  1 C 1.10
65 H 0.4531 0.6547 0.8742  1 C 1.10
66 H 0.4535 0.3525 0.3523  1 C 1.10
67 H 0.4649 0.3517 0.0728  1 C 1.09
68 H 0.4690 0.7113 0.4510  1 C 1.10
69 H 0.4873 0.7386 0.7124  1 C 1.10
70 H 0.4878 0.6296 0.9935  1 C 1.10
71 H 0.5122 0.1296 0.5065  1 C 1.10
72 H 0.5127 0.2386 0.7876  1 C 1.10
73 H 0.5310 0.2113 0.0490  1 C 1.10
74 H 0.5351 0.8517 0.4272  1 C 1.09
75 H 0.5465 0.8525 0.1477  1 C 1.10
76 H 0.5469 0.1547 0.6258  1 C 1.10
77 H 0.5482 0.2653 0.1328  1 C 1.10
78 H 0.5498 0.8345 0.7760  1 C 1.10
79 H 0.5524 0.1551 0.2742  1 C 1.10
80 H 0.5580 0.3930 0.7845  1 C 1.09
81 H 0.5739 0.8325 0.0599  1 C 1.10
82 H 0.5766 0.0784 0.7027  1 C 1.10
83 H 0.5820 0.0058 0.4643  1 C 1.10
84 H 0.5842 0.3314 0.4076  1 C 1.10
85 H 0.5878 0.0164 0.3121  1 C 1.10
86 H 0.6005 0.7445 0.5638  1 C 1.10
87 H 0.6228 0.4288 0.9502  1 C 1.10
88 H 0.6336 0.8115 0.2421  1 C 1.10
89 H 0.6572 0.1482 0.4615  1 C 1.10
90 H 0.6679 0.2750 0.9472  1 C 1.10
91 H 0.6810 0.1458 0.3320  1 C 1.10
92 H 0.6884 0.6923 0.2936  1 C 1.10
93 H 0.7001 0.0927 0.6413  1 C 1.10
94 H 0.7063 0.7899 0.6282  1 C 1.10
95 H 0.7140 0.6097 0.4483  1 C 1.10
96 H 0.7314 0.8423 0.5447  1 C 1.10
97 H 0.7364 0.1644 0.7982  1 C 1.10
98 H 0.7636 0.8356 0.2982  1 C 1.10
99 H 0.7686 0.1577 0.0447  1 C 1.10
100 H 0.7860 0.3903 0.9483  1 C 1.10
101 H 0.7937 0.2101 0.1282  1 C 1.10
102 H 0.7999 0.9073 0.1413  1 C 1.10
103 H 0.8116 0.3077 0.7936  1 C 1.10
104 H 0.8190 0.8542 0.8320  1 C 1.10
105 H 0.8321 0.7250 0.4472  1 C 1.10
106 H 0.8428 0.8518 0.9615  1 C 1.10
107 H 0.8664 0.1885 0.7421  1 C 1.10
108 H 0.8772 0.5712 0.4502  1 C 1.10
109 H 0.8995 0.2555 0.0638  1 C 1.10
110 H 0.9122 0.9836 0.8121  1 C 1.10
111 H 0.9158 0.6686 0.9076  1 C 1.10
112 H 0.9180 0.9942 0.9643  1 C 1.10
113 H 0.9234 0.9216 0.2027  1 C 1.10
114 H 0.9261 0.1675 0.5599  1 C 1.10
115 H 0.9420 0.6070 0.2845  1 C 1.09
116 H 0.9476 0.8449 0.7742  1 C 1.10
117 H 0.9502 0.1655 0.2760  1 C 1.10
118 H 0.9518 0.7347 0.6328  1 C 1.10
119 H 0.9531 0.8453 0.1258  1 C 1.10
120 H 0.9535 0.1475 0.6477  1 C 1.10
121 H 0.9649 0.1483 0.9272  1 C 1.09
122 H 0.9690 0.7887 0.5490  1 C 1.10
123 H 0.9873 0.7614 0.2876  1 C 1.10
124 H 0.9878 0.8704 0.0065  1 C 1.10
125 C 0.0147 0.6933 0.8975  3 H 1.10
126 C 0.0332 0.1852 0.2451  3 H 1.09-1.10
127 C 0.0446 0.2092 0.9199  3 H 1.09-1.10
128 C 0.0656 0.3982 0.5377  3 H 1.10
129 C 0.0858 0.3874 0.6798  3 H 1.10
130 C 0.1179 0.3638 0.3356  3 H 1.10
131 C 0.1926 0.1371 0.0330  3 H 1.10
132 C 0.1991 0.7330 0.4248  3 H 1.10
133 C 0.2174 0.7292 0.7349  3 H 1.10
134 C 0.2826 0.2708 0.2349  3 H 1.10
135 C 0.3009 0.2670 0.9248  3 H 1.10
136 C 0.3074 0.8629 0.5330  3 H 1.10
137 C 0.3821 0.6362 0.8356  3 H 1.10
138 C 0.4142 0.6126 0.1798  3 H 1.10
139 C 0.4344 0.6018 0.0377  3 H 1.10
140 C 0.4554 0.7908 0.4199  3 H 1.09-1.10
141 C 0.4668 0.8148 0.7451  3 H 1.09-1.10
142 C 0.4853 0.3067 0.3975  3 H 1.10
143 C 0.5147 0.8067 0.1025  3 H 1.10
144 C 0.5332 0.3148 0.7549  3 H 1.09-1.10
145 C 0.5446 0.2908 0.0801  3 H 1.09-1.10
146 C 0.5656 0.1018 0.4623  3 H 1.10
147 C 0.5858 0.1126 0.3202  3 H 1.10
148 C 0.6179 0.1362 0.6644  3 H 1.10
149 C 0.6926 0.3629 0.9670  3 H 1.10
150 C 0.6991 0.7670 0.5752  3 H 1.10
151 C 0.7174 0.7708 0.2651  3 H 1.10
152 C 0.7826 0.2292 0.7651  3 H 1.10
153 C 0.8009 0.2330 0.0752  3 H 1.10
154 C 0.8074 0.6371 0.4670  3 H 1.10
155 C 0.8821 0.8638 0.1644  3 H 1.10
156 C 0.9142 0.8874 0.8202  3 H 1.10
157 C 0.9344 0.8982 0.9623  3 H 1.10
158 C 0.9554 0.7092 0.5801  3 H 1.09-1.10
159 C 0.9668 0.6852 0.2549  3 H 1.09-1.10
160 C 0.9853 0.1933 0.6025  3 H 1.10
161 I 0.0161 0.4963 0.1033  1 Mo 2.86, 2 H 3.08-3.10
162 I 0.2106 0.0726 0.7621  1 Mo 2.98, 3 H 3.20-3.31
163 I 0.2894 0.9274 0.2621  1 Mo 2.98, 3 H 3.20-3.31
164 I 0.4839 0.5037 0.6033  1 Mo 2.86, 2 H 3.08-3.10
165 I 0.5161 0.0037 0.8967  1 Mo 2.86, 2 H 3.08-3.10
166 I 0.7106 0.4274 0.2379  1 Mo 2.98, 3 H 3.20-3.31
167 I 0.7894 0.5726 0.7379  1 Mo 2.98, 3 H 3.20-3.31
168 I 0.9839 0.9963 0.3967  1 Mo 2.86, 2 H 3.08-3.10
169 O 0.2487 0.1421 0.4658  1 Mo 1.81
170 O 0.2513 0.8579 0.9658  1 Mo 1.81
171 O 0.7487 0.3579 0.5342  1 Mo 1.81
172 O 0.7513 0.6421 0.0342  1 Mo 1.81

**Size of the total moment**: 8.07 μB/cell
**ΔE_f**: -241 meV per atom

---

Total DFT energy (no corrections), record by record: -7.041, -5.028 eV per atom